No. 1
Computed, not measured: a relaxed H6PbCI3N crystal at the PBE level of DFT.

Output
E, eV/atom: -4.26
Space group: No. 9
Distance to the lowest polymorph of the same formula, eV/f.u.: 0.00
Spin magnetization, μB/f.u.: 0.00

The structure in POSCAR format:
```
H6PbCI3N
1.0
6.262 6.267 0.000
-6.262 6.267 0.000
0.000 0.139 13.054
H Pb C I N
24 4 4 12 4
Cartesian
-3.932 4.214 2.976
-3.013 3.495 4.345
-2.140 4.166 2.924
2.328 8.023 2.865
3.141 8.662 1.558
4.005 7.982 2.817
-2.127 9.612 1.524
-1.457 10.496 2.774
-1.399 8.816 2.799
2.354 4.206 2.960
-3.844 8.681 2.986
3.125 3.354 4.345
-4.005 8.051 9.344
-3.141 8.732 8.085
-2.328 8.093 9.392
2.140 4.236 9.451
3.013 3.565 10.872
3.932 4.283 9.503
1.457 10.565 9.302
2.127 9.682 8.051
1.399 8.885 9.326
-2.354 4.275 9.487
-3.125 3.423 10.872
3.844 8.750 9.513
0.053 6.560 12.905
-0.053 6.490 6.378
-0.109 0.324 6.390
0.109 0.394 12.918
2.947 3.333 3.262
-3.040 3.640 3.258
3.040 3.709 9.785
-2.947 3.402 9.789
0.807 9.746 12.984
-0.718 3.478 13.020
3.217 5.947 13.030
-3.043 7.489 12.920
3.043 7.419 6.393
-3.217 5.878 6.503
-0.807 9.676 6.457
0.718 3.409 6.493
0.056 6.642 3.135
-0.056 6.712 9.662
0.106 0.278 9.683
-0.106 0.208 3.156
-1.998 9.635 2.554
3.171 8.567 2.592
-3.171 8.636 9.119
1.998 9.704 9.081
```

---

No. 2
Computed, not measured: a relaxed CeGaCu4 crystal at the PBE level of DFT.

Output
E, eV/atom: -4.46
Space group: No. 65

The structure in POSCAR format:
```
CeGaCu4
1.0
0.236 4.617 -2.221
-1.610 -4.055 -2.697
-3.906 0.767 1.180
Ce Ga Cu
1 1 4
Cartesian
-0.687 0.281 -2.459
-1.953 0.383 0.590
-1.301 -2.602 -2.617
-0.074 3.164 -2.301
-2.758 -1.644 -0.759
-1.835 2.692 -0.521
```

---

Record order is preserved below.
Theoretical density: 4.02; 8.14 g/cm³
Record order is preserved below.
Formation energy from the elements: -0.435; -0.234 eV/atom